The following is a DFT calculation (r2SCAN) of a relaxed NaCeH2S2O9 crystal.

a = 6.9655 Å, b = 6.9655 Å, c = 12.8466 Å
α = 90.00°, β = 90.00°, γ = 120.00°
Sites, in units of the cell vectors:
Ce: 0.4200 0.9882 0.6750
Ce: 0.0118 0.4318 0.3416
Ce: 0.5682 0.5800 0.0083
O: 0.8883 0.5169 0.0237
O: 0.4009 0.5264 0.3316
O: 0.4874 0.3695 0.1818
O: 0.1451 0.3868 0.0308
O: 0.4071 0.1450 0.4943
O: 0.9188 0.9324 0.9783
O: 0.8550 0.2621 0.1610
O: 0.4804 0.8492 0.5008
O: 0.7379 0.5929 0.8276
O: 0.3687 0.5196 0.8342
O: 0.8179 0.2365 0.6478
O: 0.2417 0.8549 0.3641
O: 0.4736 0.8745 0.9983
O: 0.6403 0.7584 0.1915
O: 0.1181 0.3597 0.5249
O: 0.2416 0.8819 0.8582
O: 0.0676 0.9864 0.6450
O: 0.6305 0.1179 0.8485
O: 0.8821 0.5126 0.5152
O: 0.1508 0.6313 0.1675
O: 0.4831 0.3713 0.6904
O: 0.4186 0.1821 0.9811
O: 0.7635 0.5814 0.3145
O: 0.1255 0.5991 0.6650
O: 0.0136 0.0812 0.3117
O: 0.6132 0.7583 0.6975
O: 0.6287 0.1117 0.3570
H: 0.0822 0.1055 0.5998
H: 0.0232 0.9178 0.9331
H: 0.8945 0.9768 0.2664
H: 0.9950 0.0833 0.0056
H: 0.9167 0.9117 0.6723
H: 0.0883 0.0050 0.3389
Na: 0.4686 0.0039 0.1765
Na: 0.9961 0.4647 0.8431
Na: 0.5353 0.5314 0.5098
S: 0.0089 0.4501 0.0950
S: 0.5718 0.5561 0.2558
S: 0.5499 0.5589 0.7617
S: 0.4439 0.0158 0.9225
S: 0.9842 0.4282 0.5891
S: 0.4411 0.9911 0.4283

The calculation puts the volume at 12.0 Å³/atom. As for the formation energy: -2927 kJ/mol of formula units.

The following is a DFT calculation (r2SCAN) of a relaxed Rb3Tm2Cu4Br13 crystal.

a = 11.0008 Å, b = 11.0008 Å, c = 11.0008 Å
α = 90.00°, β = 90.00°, γ = 90.00°
Sites, in units of the cell vectors:
Tm: 0.2500 0.7500 0.2500
Tm: 0.7500 0.7500 0.7500
Tm: 0.7500 0.2500 0.2500
Tm: 0.2500 0.2500 0.7500
Rb: 0.5000 0.0000 0.5000
Rb: 0.5000 0.5000 0.0000
Rb: 0.0000 0.0000 0.5000
Rb: 0.5000 0.0000 0.0000
Rb: 0.0000 0.5000 0.5000
Rb: 0.0000 0.5000 0.0000
Cu: 0.1276 0.8724 0.8724
Cu: 0.1276 0.1276 0.1276
Cu: 0.8724 0.8724 0.1276
Cu: 0.6276 0.6276 0.3724
Cu: 0.8724 0.1276 0.8724
Cu: 0.3724 0.3724 0.3724
Cu: 0.3724 0.6276 0.6276
Cu: 0.6276 0.3724 0.6276
Br: 0.7344 0.4988 0.2255
Br: 0.5000 0.5000 0.5000
Br: 0.2745 0.7656 0.0012
Br: 0.2255 0.2656 0.5012
Br: 0.7656 0.9988 0.7255
Br: 0.7656 0.0012 0.2745
Br: 0.2344 0.9988 0.2745
Br: 0.5012 0.7745 0.7344
Br: 0.2745 0.2344 0.9988
Br: 0.0012 0.7255 0.2344
Br: 0.2656 0.5012 0.2255
Br: 0.0012 0.2745 0.7656
Br: 0.9988 0.7255 0.7656
Br: 0.7344 0.5012 0.7745
Br: 0.7745 0.2656 0.4988
Br: 0.2344 0.0012 0.7255
Br: 0.7255 0.2344 0.0012
Br: 0.7255 0.7656 0.9988
Br: 0.4988 0.7745 0.2656
Br: 0.9988 0.2745 0.2344
Br: 0.4988 0.2255 0.7344
Br: 0.0000 0.0000 0.0000
Br: 0.2656 0.4988 0.7745
Br: 0.7745 0.7344 0.5012
Br: 0.2255 0.7344 0.4988
Br: 0.5012 0.2255 0.2656

The calculation puts the volume at 30.3 Å³/atom. As for the formation energy: -3124 kJ/mol of formula units.

The following is a DFT calculation (r2SCAN) of a relaxed ScUS3 crystal.

a = 3.7535 Å, b = 6.4004 Å, c = 9.2220 Å
α = 90.00°, β = 90.00°, γ = 107.05°
Sites, in units of the cell vectors:
U: 0.7521 0.5043 0.2500
U: 0.2479 0.4957 0.7500
S: 0.8594 0.7188 0.9392
S: 0.1406 0.2812 0.4392
S: 0.5815 0.1630 0.7500
S: 0.1406 0.2812 0.0608
S: 0.4185 0.8370 0.2500
S: 0.8594 0.7188 0.5608
Sc: 0.5000 0.0000 0.5000
Sc: 0.5000 0.0000 0.0000

The calculation puts the volume at 21.2 Å³/atom. As for the formation energy: -999 kJ/mol of formula units.

The following is a DFT calculation (r2SCAN) of a relaxed ThCu2Ge2 crystal.

a = 5.8120 Å, b = 5.8120 Å, c = 5.8120 Å
α = 137.77°, β = 137.77°, γ = 61.26°
Sites, in units of the cell vectors:
Ge: 0.6245 0.6245 0.0000
Ge: 0.3755 0.3755 0.0000
Th: 0.0000 0.0000 0.0000
Cu: 0.7500 0.2500 0.5000
Cu: 0.2500 0.7500 0.5000

The calculation puts the volume at 17.5 Å³/atom. As for the formation energy: -251 kJ/mol of formula units.

The following is a DFT calculation (r2SCAN) of a relaxed Ti2MnRh crystal.

a = 4.2799 Å, b = 4.2799 Å, c = 4.2799 Å
α = 60.00°, β = 60.00°, γ = 60.00°
Sites, in units of the cell vectors:
Ti: 0.0000 0.0000 0.0000
Ti: 0.5000 0.5000 0.5000
Mn: 0.2500 0.2500 0.2500
Rh: 0.7500 0.7500 0.7500

The calculation puts the volume at 13.9 Å³/atom. As for the formation energy: -216 kJ/mol of formula units.

The following is a DFT calculation (r2SCAN) of a relaxed SiTc crystal.

a = 4.7461 Å, b = 4.7461 Å, c = 4.7461 Å
α = 90.00°, β = 90.00°, γ = 90.00°
Sites, in units of the cell vectors:
Si: 0.6551 0.1551 0.3449
Si: 0.1551 0.3449 0.6551
Si: 0.3449 0.6551 0.1551
Si: 0.8449 0.8449 0.8449
Tc: 0.8655 0.6345 0.3655
Tc: 0.1345 0.1345 0.1345
Tc: 0.3655 0.8655 0.6345
Tc: 0.6345 0.3655 0.8655

The calculation puts the volume at 13.4 Å³/atom. As for the formation energy: -100 kJ/mol of formula units.

The following is a DFT calculation (r2SCAN) of a relaxed Tc crystal.

a = 2.7366 Å, b = 2.7366 Å, c = 4.3949 Å
α = 90.00°, β = 90.00°, γ = 120.00°
Sites, in units of the cell vectors:
Tc: 0.3333 0.6667 0.2500
Tc: 0.6667 0.3333 0.7500

The calculation puts the volume at 14.3 Å³/atom. The energy above the most stable polymorph in this dataset comes out at 0.0 meV per atom. As for the formation energy: 0 kJ/mol of formula units.

The following is a DFT calculation (r2SCAN) of a relaxed Sb2Pd crystal.

a = 6.5213 Å, b = 6.5213 Å, c = 6.5213 Å
α = 90.00°, β = 90.00°, γ = 90.00°
Sites, in units of the cell vectors:
Pd: 0.0000 0.0000 0.0000
Pd: 0.5000 0.0000 0.5000
Pd: 0.5000 0.5000 0.0000
Pd: 0.0000 0.5000 0.5000
Sb: 0.1262 0.6262 0.8738
Sb: 0.6262 0.8738 0.1262
Sb: 0.1262 0.8738 0.3738
Sb: 0.3738 0.1262 0.8738
Sb: 0.6262 0.6262 0.6262
Sb: 0.3738 0.3738 0.3738
Sb: 0.8738 0.1262 0.6262
Sb: 0.8738 0.3738 0.1262

The calculation puts the volume at 23.1 Å³/atom. As for the formation energy: -100 kJ/mol of formula units.

The following is a DFT calculation (r2SCAN) of a relaxed Dy12Os5C15 crystal.

a = 5.0632 Å, b = 10.6792 Å, c = 10.6790 Å
α = 120.00°, β = 90.00°, γ = 90.00°
Sites, in units of the cell vectors:
C: 0.5000 0.7159 0.1846
C: 0.0000 0.0000 0.7910
C: 0.5000 0.8154 0.5313
C: 0.0000 0.0000 0.4602
C: 0.0000 0.5398 0.5398
C: 0.5000 0.4687 0.2841
C: 0.0000 0.7910 0.0000
C: 0.0000 0.6646 0.6646
C: 0.5000 0.1846 0.7159
C: 0.0000 0.3354 0.0000
C: 0.5000 0.2841 0.4687
C: 0.0000 0.4602 0.0000
C: 0.0000 0.2090 0.2090
C: 0.0000 0.0000 0.3354
C: 0.5000 0.5313 0.8154
Dy: 0.5000 0.2069 0.2069
Dy: 0.0000 0.4556 0.2717
Dy: 0.0000 0.2717 0.4556
Dy: 0.5000 0.0000 0.4358
Dy: 0.0000 0.5444 0.8161
Dy: 0.5000 0.4358 0.0000
Dy: 0.0000 0.1839 0.7283
Dy: 0.5000 0.5642 0.5642
Dy: 0.0000 0.8161 0.5444
Dy: 0.0000 0.7283 0.1839
Dy: 0.5000 0.7931 0.0000
Dy: 0.5000 0.0000 0.7931
Os: 0.0000 0.1603 0.0000
Os: 0.5000 0.3333 0.6667
Os: 0.0000 0.0000 0.1603
Os: 0.0000 0.8397 0.8397
Os: 0.5000 0.6667 0.3333

The calculation puts the volume at 15.6 Å³/atom. As for the formation energy: -1557 kJ/mol of formula units.

The following is a DFT calculation (r2SCAN) of a relaxed Ce2BiN crystal.

a = 4.7241 Å, b = 4.7241 Å, c = 9.3966 Å
α = 90.00°, β = 90.00°, γ = 90.00°
Sites, in units of the cell vectors:
Ce: 0.7500 0.7500 0.6747
Ce: 0.2500 0.7500 0.0000
Ce: 0.2500 0.2500 0.3253
Ce: 0.7500 0.2500 0.0000
N: 0.7500 0.7500 0.9142
N: 0.2500 0.2500 0.0858
Bi: 0.7500 0.7500 0.3005
Bi: 0.2500 0.2500 0.6995

The calculation puts the volume at 26.2 Å³/atom. As for the formation energy: -557 kJ/mol of formula units.

The following is a DFT calculation (r2SCAN) of a relaxed GdCoC crystal.

a = 3.6446 Å, b = 3.6447 Å, c = 7.0571 Å
α = 90.00°, β = 90.00°, γ = 90.00°
Sites, in units of the cell vectors:
C: 0.5000 0.0000 0.5000
C: 0.0000 0.5000 0.0000
Gd: 0.0000 0.0000 0.2500
Gd: 0.0000 0.0000 0.7500
Co: 0.5000 0.5000 0.0000
Co: 0.5000 0.5000 0.5000

The calculation puts the volume at 15.6 Å³/atom. As for the formation energy: -81 kJ/mol of formula units.

The following is a DFT calculation (r2SCAN) of a relaxed BaGd2Mn2O7 crystal.

a = 5.5610 Å, b = 5.5610 Å, c = 19.8294 Å
α = 90.00°, β = 90.00°, γ = 90.00°
Sites, in units of the cell vectors:
O: 0.0000 0.5000 0.8888
O: 0.2315 0.2315 0.5000
O: 0.6969 0.6969 0.7093
O: 0.5000 0.0000 0.8888
O: 0.3031 0.3031 0.7093
O: 0.0000 0.0000 0.6227
O: 0.5000 0.5000 0.4012
O: 0.2685 0.7315 0.0000
O: 0.8031 0.1969 0.7907
O: 0.3031 0.3031 0.2907
O: 0.0000 0.0000 0.3773
O: 0.8031 0.1969 0.2093
O: 0.0000 0.5000 0.3888
O: 0.5000 0.5000 0.5988
O: 0.5000 0.5000 0.8773
O: 0.7685 0.7685 0.5000
O: 0.5000 0.0000 0.1112
O: 0.0000 0.0000 0.9012
O: 0.5000 0.0000 0.3888
O: 0.5000 0.5000 0.1227
O: 0.6969 0.6969 0.2907
O: 0.1969 0.8031 0.2093
O: 0.0000 0.5000 0.6112
O: 0.5000 0.0000 0.6112
O: 0.1969 0.8031 0.7907
O: 0.0000 0.5000 0.1112
O: 0.0000 0.0000 0.0988
O: 0.7315 0.2685 0.0000
Gd: 0.7279 0.2721 0.6831
Gd: 0.7721 0.7721 0.8169
Gd: 0.2279 0.2279 0.8169
Gd: 0.2279 0.2279 0.1831
Gd: 0.7721 0.7721 0.1831
Gd: 0.2721 0.7279 0.3169
Gd: 0.2721 0.7279 0.6831
Gd: 0.7279 0.2721 0.3169
Mn: 0.7534 0.7534 0.6024
Mn: 0.2534 0.7466 0.8976
Mn: 0.2466 0.2466 0.3976
Mn: 0.7466 0.2534 0.1024
Mn: 0.7534 0.7534 0.3976
Mn: 0.7466 0.2534 0.8976
Mn: 0.2466 0.2466 0.6024
Mn: 0.2534 0.7466 0.1024
Ba: 0.7455 0.2545 0.5000
Ba: 0.2545 0.7455 0.5000
Ba: 0.2455 0.2455 0.0000
Ba: 0.7545 0.7545 0.0000

The calculation puts the volume at 12.8 Å³/atom. As for the formation energy: -2616 kJ/mol of formula units.

The following is a DFT calculation (r2SCAN) of a relaxed Ba2MgIn crystal.

a = 6.0835 Å, b = 6.0835 Å, c = 6.0835 Å
α = 60.00°, β = 60.00°, γ = 60.00°
Sites, in units of the cell vectors:
In: 0.5000 0.5000 0.5000
Mg: 0.0000 0.0000 0.0000
Ba: 0.7500 0.7500 0.7500
Ba: 0.2500 0.2500 0.2500

The calculation puts the volume at 39.8 Å³/atom. As for the formation energy: -97 kJ/mol of formula units.

The following is a DFT calculation (r2SCAN) of a relaxed Cs3SbSe4 crystal.

a = 10.3117 Å, b = 10.6175 Å, c = 12.0994 Å
α = 90.00°, β = 90.00°, γ = 90.00°
Sites, in units of the cell vectors:
Sb: 0.7286 0.5229 0.2500
Sb: 0.2714 0.4771 0.7500
Sb: 0.2286 0.9771 0.2500
Sb: 0.7714 0.0229 0.7500
Se: 0.8050 0.2550 0.7500
Se: 0.6950 0.7550 0.2500
Se: 0.3491 0.0346 0.0793
Se: 0.3491 0.0346 0.4207
Se: 0.4891 0.5813 0.7500
Se: 0.0109 0.0813 0.2500
Se: 0.6509 0.9654 0.9207
Se: 0.5109 0.4187 0.2500
Se: 0.6509 0.9654 0.5793
Se: 0.1509 0.5346 0.5793
Se: 0.8491 0.4654 0.0793
Se: 0.3050 0.2450 0.7500
Se: 0.9891 0.9187 0.7500
Se: 0.8491 0.4654 0.4207
Se: 0.1950 0.7450 0.2500
Se: 0.1509 0.5346 0.9207
Cs: 0.4470 0.6978 0.0418
Cs: 0.3527 0.9143 0.7500
Cs: 0.0530 0.1978 0.5418
Cs: 0.0530 0.1978 0.9582
Cs: 0.9470 0.8022 0.4582
Cs: 0.4470 0.6978 0.4582
Cs: 0.5530 0.3022 0.9582
Cs: 0.6473 0.0857 0.2500
Cs: 0.5530 0.3022 0.5418
Cs: 0.1473 0.4143 0.2500
Cs: 0.9470 0.8022 0.0418
Cs: 0.8527 0.5857 0.7500

The calculation puts the volume at 41.4 Å³/atom. As for the formation energy: -827 kJ/mol of formula units.

The following is a DFT calculation (r2SCAN) of a relaxed Sb2O3 crystal.

a = 4.8132 Å, b = 8.1245 Å, c = 9.4752 Å
α = 107.20°, β = 90.00°, γ = 90.00°
Sites, in units of the cell vectors:
Sb: 0.6821 0.1900 0.5977
Sb: 0.1569 0.5892 0.6950
Sb: 0.6569 0.9108 0.8050
Sb: 0.8179 0.6900 0.0977
Sb: 0.8431 0.4108 0.3050
Sb: 0.1821 0.3100 0.9023
Sb: 0.3431 0.0892 0.1950
Sb: 0.3179 0.8100 0.4023
O: 0.1583 0.7965 0.1965
O: 0.1078 0.5514 0.8964
O: 0.9508 0.1618 0.2153
O: 0.8417 0.2035 0.8035
O: 0.3417 0.2965 0.6965
O: 0.6583 0.7035 0.3035
O: 0.6078 0.9486 0.6036
O: 0.5492 0.6618 0.7153
O: 0.8922 0.4486 0.1036
O: 0.0492 0.8382 0.7847
O: 0.4508 0.3382 0.2847
O: 0.3922 0.0514 0.3964

The calculation puts the volume at 17.7 Å³/atom. As for the formation energy: -689 kJ/mol of formula units.

The following is a DFT calculation (r2SCAN) of a relaxed Nd2CO5 crystal.

a = 4.0335 Å, b = 4.0335 Å, c = 15.6882 Å
α = 90.00°, β = 90.00°, γ = 121.82°
Sites, in units of the cell vectors:
Nd: 0.6644 0.3356 0.5949
Nd: 0.6644 0.3356 0.9051
Nd: 0.3356 0.6644 0.4051
Nd: 0.3356 0.6644 0.0949
O: 0.3355 0.6645 0.9422
O: 0.0141 0.9859 0.8228
O: 0.0141 0.9859 0.6772
O: 0.6645 0.3355 0.4422
O: 0.3355 0.6645 0.5578
O: 0.7462 0.2538 0.7500
O: 0.9859 0.0141 0.1772
O: 0.9859 0.0141 0.3228
O: 0.2538 0.7462 0.2500
O: 0.6645 0.3355 0.0578
C: 0.0726 0.9274 0.2500
C: 0.9274 0.0726 0.7500

The calculation puts the volume at 13.6 Å³/atom. As for the formation energy: -2307 kJ/mol of formula units.

Going through the records in order, we get size of the total moment values of 3.00 0.00 5.74 0.00 0.00 0.00 0.00 0.00 2.24 3.93 11.91 40.00 0.00 0.00 0.00 0.00 Bohr magnetons per cell.